[1]
94
Lattice="4.920 8.541 0.000 -4.920 8.541 0.000 0.000 0.167 13.901" Properties=species:S:1:pos:R:3 comment="GGA+U Li7V3P8O29, optimized geometry" relative_energy_mev_per_atom=10.4 mass_density_g_cm3=2.60 formation_energy_kj_per_mol_atoms=-258.8 energy_corrected_mp2020_ev_per_atom=-7.52 dft_energy_ry_per_atom=-0.514 magmom_total_mub_per_fu=4.0 pbc="T T T"
Li -2.903 6.633 6.080
Li 0.067 5.924 8.504
Li -0.067 5.840 1.553
Li 2.903 6.716 13.030
Li -0.697 2.942 13.035
Li -0.654 14.269 7.780
Li 0.697 2.858 6.084
Li 0.654 14.185 0.829
Li -2.769 10.554 0.796
Li -2.157 9.475 7.834
Li 2.769 10.637 7.747
Li 2.157 9.391 0.883
Li -4.423 8.568 13.757
Li 4.423 8.485 6.807
V 2.775 4.947 10.436
V -2.756 12.301 3.498
V -2.775 4.863 3.485
V 2.756 12.385 10.449
V -0.618 8.664 10.459
V 0.618 8.580 3.509
P -2.343 7.822 2.218
P -2.925 6.728 9.152
P 2.343 7.905 9.168
P 0.004 5.792 12.107
P -0.004 5.709 5.156
P 2.925 6.645 2.201
P -0.686 14.476 4.785
P -0.639 2.755 2.166
P 0.686 14.560 11.735
P 0.639 2.839 9.116
P -2.973 10.601 11.690
P 0.011 11.533 8.724
P -0.011 11.450 1.773
P -2.280 9.306 4.822
P 2.973 10.517 4.740
P 2.280 9.390 11.772
O -2.741 8.607 6.091
O -2.033 7.970 9.101
O 0.975 15.338 12.992
O -2.896 6.361 2.183
O -0.808 7.731 2.259
O -0.755 6.992 11.532
O 0.808 7.815 9.209
O 2.741 8.691 13.041
O 2.033 7.886 2.151
O -1.497 5.787 4.632
O -2.021 5.477 9.356
O 0.755 6.908 4.582
O 0.036 5.679 13.609
O -0.036 5.596 6.658
O 1.497 5.871 11.582
O -1.269 4.162 2.362
O -0.669 4.466 11.532
O 2.896 6.445 9.133
O 3.876 6.835 3.490
O -0.975 15.254 6.041
O -1.120 15.062 0.973
O 2.021 5.393 2.406
O 0.669 4.383 4.581
O -0.849 14.345 11.647
O 1.269 4.245 9.313
O -0.892 2.989 9.075
O -3.876 6.918 10.440
O 1.120 15.145 7.924
O -1.085 1.991 5.996
O 0.849 14.261 4.697
O -1.462 13.155 4.665
O 0.892 2.905 2.124
O -0.704 12.811 9.289
O -2.228 11.954 11.494
O 1.085 2.074 12.946
O -3.757 10.653 7.898
O 0.945 1.944 10.421
O -2.922 10.709 4.738
O 0.704 12.727 2.339
O 1.462 13.239 11.616
O -1.469 11.428 2.464
O -0.205 11.563 0.296
O 0.205 11.647 7.246
O -0.746 10.271 9.203
O 2.228 11.870 4.544
O 1.469 11.512 9.415
O -2.039 9.424 11.666
O -2.902 8.434 3.600
O -2.945 8.638 1.106
O -0.776 9.383 4.647
O 0.746 10.187 2.252
O 0.776 9.467 11.597
O 2.922 10.793 11.688
O 3.757 10.570 0.948
O -0.945 1.860 3.470
O 2.039 9.340 4.715
O 2.945 8.722 8.057
O 2.902 8.518 10.551

[2]
36
Lattice="-5.678 -2.005 6.128 -1.785 -3.588 -7.599 2.620 -7.198 1.573" Properties=species:S:1:pos:R:3 comment="GGA+U LiVP4O12, optimized geometry" relative_energy_mev_per_atom=20.1 mass_density_g_cm3=2.42 formation_energy_kj_per_mol_atoms=-255.9 energy_corrected_mp2020_ev_per_atom=-7.76 dft_energy_ry_per_atom=-0.530 magmom_total_mub_per_fu=2.0 pbc="T T T"
Li -2.568 -3.335 2.070
Li -0.006 -7.443 -1.557
V -3.156 -7.674 5.583
V -1.566 -5.254 -5.431
P -5.038 -9.716 0.884
P -2.847 -9.157 2.821
P -2.115 -6.400 2.787
P -5.729 -6.369 -2.083
P 0.903 -6.677 2.179
P 0.191 -3.321 -0.716
P -2.051 -3.360 -2.843
P -2.823 -6.100 -2.669
O -0.641 -6.394 2.121
O -3.707 -8.991 4.084
O -4.201 -1.655 4.552
O -3.729 -9.974 1.759
O -1.986 -6.678 4.277
O -6.160 -6.208 -0.652
O -4.653 -9.887 -0.559
O -2.763 -7.710 2.090
O -4.139 -2.589 1.363
O -2.801 -5.185 2.308
O -4.559 -4.125 4.878
O -4.175 -6.726 -2.075
O -1.429 -0.628 1.533
O -3.043 -4.530 -2.325
O -1.668 -6.660 -1.943
O -0.172 -3.092 0.738
O -0.011 -6.425 -4.815
O 1.361 -6.781 0.738
O -2.892 -6.256 -4.197
O -1.139 -3.126 -1.528
O 0.849 -4.620 -1.092
O -1.185 -3.937 -3.952
O -0.295 -8.925 -4.750
O -0.192 -9.313 -1.485

[3]
22
Lattice="-4.893 -0.046 1.935 -2.537 -5.278 -6.541 3.701 -5.176 2.741" Properties=species:S:1:pos:R:3 comment="GGA+U LiVP2O7, optimized geometry" mass_density_g_cm3=2.56 formation_energy_kj_per_mol_atoms=-255.5 energy_corrected_mp2020_ev_per_atom=-7.78 dft_energy_ry_per_atom=-0.528 magmom_total_mub_per_fu=2.0 pbc="T T T"
Li 0.862 -6.411 -0.717
Li -5.714 -6.426 -4.045
V -0.706 -7.962 -3.313
V -3.529 -3.590 0.143
P -0.305 -3.881 0.939
P -2.823 -4.338 -4.601
P -1.059 -6.483 2.338
P -3.150 -6.050 -2.099
O 2.373 -6.165 0.359
O 0.785 -7.974 -1.798
O 0.665 -2.890 1.580
O 0.168 -4.391 -0.454
O -1.795 -6.751 -2.224
O -4.253 -2.496 -1.311
O -0.243 -5.159 1.888
O -3.237 -4.824 -3.112
O -0.349 -9.821 -2.807
O -1.731 -3.327 0.880
O -4.321 -6.992 -2.506
O -3.337 -5.414 -0.723
O -4.122 -1.711 0.943
O -6.424 -5.005 -3.056

[4]
90
Lattice="9.810 0.000 0.000 4.874 8.528 0.000 0.184 0.020 14.148" Properties=species:S:1:pos:R:3 comment="GGA+U Li5V3P8O29, optimized geometry" relative_energy_mev_per_atom=3.1 mass_density_g_cm3=2.52 formation_energy_kj_per_mol_atoms=-252.6 energy_corrected_mp2020_ev_per_atom=-7.59 dft_energy_ry_per_atom=-0.517 magmom_total_mub_per_fu=2.0 pbc="T T T"
Li 12.764 6.579 6.262
Li 7.593 7.827 6.208
Li 9.925 5.705 1.524
Li 7.096 6.574 13.277
Li 10.680 2.766 13.233
Li 5.665 5.854 7.906
Li 9.240 2.674 6.304
Li 7.687 1.981 0.792
Li 7.206 0.811 8.014
Li 4.800 8.140 0.003
V 7.163 4.849 10.631
V 7.720 3.691 3.580
V 2.806 4.810 3.466
V 2.286 3.709 10.624
V 10.560 8.498 10.680
V 4.293 0.072 3.499
P 12.119 7.806 2.275
P 12.829 6.556 9.339
P 7.716 7.799 9.285
P 9.923 5.666 12.342
P 9.858 5.720 5.216
P 6.940 6.606 2.245
P 5.631 5.823 4.812
P 10.491 2.692 2.178
P 4.358 5.924 11.918
P 9.264 2.753 9.340
P 7.958 1.958 11.878
P 5.063 2.854 8.960
P 4.953 2.850 1.821
P 7.165 0.732 4.882
P 2.001 1.970 4.763
P 2.737 0.724 11.871
O 12.319 8.532 6.165
O 11.942 7.818 9.364
O 4.148 6.820 13.077
O 12.593 6.357 2.253
O 10.550 7.764 2.416
O 10.672 6.871 11.738
O 9.234 7.735 9.592
O 7.001 8.475 12.997
O 7.889 7.838 2.385
O 11.315 5.693 4.605
O 11.980 5.297 9.631
O 9.134 6.995 4.605
O 9.785 5.679 13.844
O 9.864 5.762 6.701
O 8.424 5.725 11.767
O 11.108 4.111 2.379
O 10.581 4.341 11.852
O 7.101 6.354 9.406
O 5.969 6.739 3.524
O 6.167 6.464 6.058
O 6.152 6.693 0.983
O 7.814 5.344 2.427
O 9.129 4.424 4.681
O 5.908 5.623 11.825
O 8.542 4.108 9.635
O 10.770 2.950 9.363
O 4.072 6.735 10.535
O 3.789 6.430 8.049
O 10.913 1.931 5.937
O 4.106 5.684 4.808
O 6.326 4.459 4.533
O 8.936 2.861 2.333
O 5.805 4.149 9.597
O 7.179 3.285 11.691
O 8.793 1.974 13.131
O 8.701 2.128 8.095
O 8.911 1.794 10.596
O 7.803 2.143 4.854
O 4.179 4.082 2.435
O 3.551 4.627 11.828
O 6.406 2.825 2.380
O 4.921 2.748 0.349
O 5.122 3.044 7.484
O 5.828 1.583 9.450
O 2.828 3.248 4.589
O 3.642 2.857 9.601
O 6.991 0.768 11.814
O 12.683 8.443 3.662
O 7.750 0.103 1.139
O 5.654 0.818 4.558
O 4.234 1.587 2.510
O 4.263 0.720 11.768
O 2.197 2.182 11.852
O 10.800 2.039 0.879
O 1.134 1.760 3.395
O 2.959 0.720 4.746
O 7.376 8.389 7.972
O 2.169 0.096 10.477

[5]
96
Lattice="-9.868 0.009 0.023 -4.941 8.546 0.004 0.032 0.012 -13.796" Properties=species:S:1:pos:R:3 comment="GGA+U Li8V3P8O29, optimized geometry" relative_energy_mev_per_atom=21.8 mass_density_g_cm3=2.63 formation_energy_kj_per_mol_atoms=-261.0 energy_corrected_mp2020_ev_per_atom=-7.48 dft_energy_ry_per_atom=-0.512 magmom_total_mub_per_fu=5.0 pbc="T T T"
Li -12.679 6.560 -0.843
Li -11.965 7.716 -7.732
Li -10.524 2.879 -7.717
Li -9.819 5.718 -12.129
Li -9.193 2.853 -0.861
Li -7.730 7.711 -0.870
Li -7.719 2.033 -6.027
Li -7.057 6.536 -7.745
Li -7.048 0.858 -12.899
Li -5.583 5.714 -12.906
Li -4.954 2.845 -1.639
Li -4.253 5.687 -6.052
Li -2.813 0.850 -6.035
Li -2.099 2.007 -12.923
Li -9.836 0.023 -13.772
Li -9.851 0.017 -6.876
V -7.722 3.730 -3.448
V -7.059 4.834 -10.316
V -5.548 0.025 -10.312
V -9.228 8.542 -3.457
V -12.639 4.836 -3.441
V -2.137 3.731 -10.327
P -12.794 6.638 -11.614
P -12.128 7.805 -4.720
P -10.552 2.697 -4.723
P -9.871 5.688 -1.709
P -9.864 5.717 -8.607
P -9.187 2.703 -11.623
P -7.865 1.952 -9.024
P -7.577 7.790 -11.640
P -7.200 0.776 -2.130
P -6.915 6.612 -4.744
P -5.591 5.863 -2.147
P -4.917 2.849 -5.157
P -4.904 2.876 -12.063
P -4.225 5.871 -9.044
P -2.648 0.761 -9.048
P -1.984 1.928 -2.155
O -13.617 6.634 -7.791
O -12.781 6.404 -4.699
O -12.578 8.527 -0.893
O -11.913 7.884 -11.644
O -11.902 5.371 -11.451
O -11.364 5.717 -2.284
O -11.269 4.047 -4.535
O -10.968 1.982 -0.893
O -10.727 2.835 -11.620
O -10.678 6.930 -9.165
O -10.622 7.723 -4.581
O -10.572 4.399 -9.246
O -9.952 5.694 -0.197
O -9.904 5.623 -7.119
O -9.198 4.393 -2.217
O -9.099 7.626 -11.506
O -9.107 6.937 -2.219
O -9.034 2.829 -4.741
O -8.826 1.811 -10.340
O -8.781 1.956 -7.801
O -8.738 1.924 -12.857
O -8.572 4.105 -11.513
O -8.406 5.783 -9.170
O -7.867 2.159 -2.123
O -7.732 5.347 -4.574
O -7.769 7.881 -4.746
O -7.792 0.010 -3.417
O -7.665 0.027 -5.952
O -7.110 8.541 -7.816
O -7.010 0.684 -9.024
O -7.041 3.220 -9.191
O -6.907 6.411 -11.648
O -6.367 2.784 -4.600
O -6.208 4.461 -2.260
O -6.042 6.642 -0.912
O -5.996 6.607 -5.968
O -5.951 6.755 -3.429
O -5.741 5.741 -9.024
O -5.675 1.630 -11.551
O -5.679 0.941 -2.262
O -5.573 4.178 -11.553
O -4.815 2.870 -13.571
O -4.880 2.935 -6.650
O -4.208 4.166 -4.528
O -4.156 0.843 -9.187
O -4.101 1.637 -4.604
O -4.051 5.729 -2.149
O -13.747 6.780 -10.330
O -3.808 6.583 -12.876
O -3.510 4.517 -9.234
O -3.409 2.847 -11.480
O -2.874 3.194 -2.318
O -2.864 0.682 -2.128
O -2.200 0.040 -12.875
O -2.042 0.012 -10.357
O -1.996 2.164 -9.067
O -1.157 1.930 -5.977
O -1.029 1.788 -3.438

[6]
28
Lattice="8.866 0.000 0.000 0.000 4.932 0.000 0.000 4.446 6.485" Properties=species:S:1:pos:R:3 comment="GGA+U Li3VP2O8, optimized geometry" relative_energy_mev_per_atom=3.4 mass_density_g_cm3=3.07 formation_energy_kj_per_mol_atoms=-261.0 energy_corrected_mp2020_ev_per_atom=-7.36 dft_energy_ry_per_atom=-0.503 magmom_total_mub_per_fu=2.0 pbc="T T T"
Li 1.230 4.665 4.475
Li 4.433 0.000 0.000
Li 5.663 6.936 5.252
Li 0.000 2.223 3.242
Li 3.203 2.442 1.233
Li 7.635 4.713 2.009
V 4.433 4.689 3.242
V 0.000 2.466 0.000
P 1.609 4.966 1.428
P 6.042 2.190 1.814
P 2.824 7.189 4.671
P 7.257 4.412 5.056
O 7.593 5.934 5.242
O 0.869 5.490 2.648
O 3.160 5.667 4.485
O 1.184 0.821 0.142
O 3.155 5.165 1.591
O 5.617 6.334 3.100
O 5.301 1.666 0.594
O 7.588 1.990 1.652
O 5.711 4.213 4.894
O 3.564 7.713 5.890
O 3.249 3.044 3.385
O 1.273 3.444 1.243
O 7.681 8.557 6.342
O 5.706 3.711 1.999
O 7.997 3.888 3.836
O 1.278 7.388 4.833